(1)
GGA-PBE ErB3Mo, relaxed; energy of formation = -3.20 eV/f.u.
1.0
5.418 0.000 0.000
0.000 3.159 0.000
-1.384 0.000 6.674
Er B Mo
2 6 2
Direct
0.177 0.250 0.210
0.823 0.750 0.790
0.084 0.750 0.493
0.412 0.750 0.495
0.418 0.750 0.976
0.582 0.250 0.024
0.588 0.250 0.505
0.916 0.250 0.507
0.311 0.250 0.721
0.689 0.750 0.279

---

(2)
GGA-PBE ZrFeAs, relaxed; energy of formation = -2.28 eV/f.u.
1.0
6.491 0.000 0.000
0.000 3.931 0.000
0.000 0.000 7.268
Zr Fe As
4 4 4
Direct
0.013 0.250 0.189
0.487 0.750 0.689
0.513 0.250 0.311
0.987 0.750 0.811
0.147 0.250 0.562
0.353 0.750 0.062
0.647 0.250 0.938
0.853 0.750 0.438
0.222 0.750 0.386
0.278 0.250 0.886
0.722 0.750 0.114
0.778 0.250 0.614